# BaZrF6 | the Materials Project | PBE | relaxed
# Total energy in eV for the cell shown: -208.7
# Density in g/cm3: 4.7
# Space-group type: P2_1/c, No. 14
data_BaZrF6
_space_group_name_H-M_alt 'P 1'
_space_group_IT_number 1
_cell_length_a 6.683
_cell_length_b 9.721
_cell_length_c 9.336
_cell_angle_alpha 90.00
_cell_angle_beta 127.35
_cell_angle_gamma 90.00
loop_
_space_group_symop_operation_xyz
'x,y,z'
loop_
_atom_site_label
_atom_site_type_symbol
_atom_site_fract_x
_atom_site_fract_y
_atom_site_fract_z
_atom_site_occupancy
Ba1 Ba 0.091 0.180 0.364 1
Ba2 Ba 0.091 0.320 0.864 1
Ba3 Ba 0.909 0.680 0.136 1
Ba4 Ba 0.909 0.820 0.636 1
Zr1 Zr 0.381 0.536 0.634 1
Zr2 Zr 0.381 0.964 0.134 1
Zr3 Zr 0.619 0.036 0.866 1
Zr4 Zr 0.619 0.464 0.366 1
F1 F 0.053 0.032 0.885 1
F2 F 0.053 0.468 0.385 1
F3 F 0.181 0.717 0.531 1
F4 F 0.181 0.783 0.031 1
F5 F 0.230 0.039 0.678 1
F6 F 0.230 0.461 0.178 1
F7 F 0.335 0.152 0.211 1
F8 F 0.335 0.348 0.711 1
F9 F 0.429 0.604 0.859 1
F10 F 0.429 0.896 0.359 1
F11 F 0.483 0.623 0.471 1
F12 F 0.483 0.877 0.971 1
F13 F 0.517 0.123 0.029 1
F14 F 0.517 0.377 0.529 1
F15 F 0.571 0.104 0.641 1
F16 F 0.571 0.396 0.141 1
F17 F 0.665 0.652 0.289 1
F18 F 0.665 0.848 0.789 1
F19 F 0.770 0.539 0.822 1
F20 F 0.770 0.961 0.322 1
F21 F 0.819 0.217 0.969 1
F22 F 0.819 0.283 0.469 1
F23 F 0.947 0.532 0.615 1
F24 F 0.947 0.968 0.115 1

---

# BaMg2FeH8 | the Materials Project | PBE | relaxed
# Total moment in μB/atom: 0.00
# Total energy in eV for the cell shown: -45.2
# Density in g/cm3: 3.3
# Space-group type: P-3m1, No. 164
data_BaMg2FeH8
_space_group_name_H-M_alt 'P 1'
_space_group_IT_number 1
_cell_length_a 4.557
_cell_length_b 4.557
_cell_length_c 6.970
_cell_angle_alpha 90.00
_cell_angle_beta 90.00
_cell_angle_gamma 120.00
loop_
_space_group_symop_operation_xyz
'x,y,z'
loop_
_atom_site_label
_atom_site_type_symbol
_atom_site_fract_x
_atom_site_fract_y
_atom_site_fract_z
_atom_site_occupancy
Ba1 Ba 0.000 0.000 0.000 1
Mg1 Mg 0.333 0.667 0.612 1
Mg2 Mg 0.667 0.333 0.388 1
Fe1 Fe 0.000 0.000 0.500 1
H1 H 0.159 0.319 0.364 1
H2 H 0.159 0.841 0.364 1
H3 H 0.319 0.159 0.636 1
H4 H 0.333 0.667 0.891 1
H5 H 0.667 0.333 0.109 1
H6 H 0.681 0.841 0.364 1
H7 H 0.841 0.159 0.636 1
H8 H 0.841 0.681 0.636 1

---

# Ba4Fe2S4I5 | the Materials Project | PBE | relaxed
# Total moment in μB/atom: 0.47
# Total energy in eV for the cell shown: -70.5
# Density in g/cm3: 4.7
# Space-group type: I4/m, No. 87
data_Ba4Fe2S4I5
_space_group_name_H-M_alt 'P 1'
_space_group_IT_number 1
_cell_length_a 10.231
_cell_length_b 10.231
_cell_length_c 10.231
_cell_angle_alpha 93.66
_cell_angle_beta 93.66
_cell_angle_gamma 150.72
loop_
_space_group_symop_operation_xyz
'x,y,z'
loop_
_atom_site_label
_atom_site_type_symbol
_atom_site_fract_x
_atom_site_fract_y
_atom_site_fract_z
_atom_site_occupancy
Ba1 Ba 0.061 0.250 0.311 1
Ba2 Ba 0.250 0.939 0.190 1
Ba3 Ba 0.750 0.061 0.810 1
Ba4 Ba 0.939 0.750 0.689 1
Fe1 Fe 0.250 0.750 0.500 1
Fe2 Fe 0.750 0.250 0.500 1
S1 S 0.100 0.585 0.686 1
S2 S 0.415 0.100 0.515 1
S3 S 0.585 0.900 0.485 1
S4 S 0.900 0.415 0.314 1
I1 I 0.000 0.000 0.000 1
I2 I 0.297 0.369 0.666 1
I3 I 0.369 0.703 0.073 1
I4 I 0.631 0.297 0.927 1
I5 I 0.703 0.631 0.334 1

---

# BaLa2FeS5 | the Materials Project | PBE | relaxed
# Total moment in μB/atom: 0.44
# Total energy in eV for the cell shown: -113.8
# Density in g/cm3: 4.8
# Space-group type: I4/mcm, No. 140
data_BaLa2FeS5
_space_group_name_H-M_alt 'P 1'
_space_group_IT_number 1
_cell_length_a 8.817
_cell_length_b 8.817
_cell_length_c 8.817
_cell_angle_alpha 125.95
_cell_angle_beta 125.95
_cell_angle_gamma 79.96
loop_
_space_group_symop_operation_xyz
'x,y,z'
loop_
_atom_site_label
_atom_site_type_symbol
_atom_site_fract_x
_atom_site_fract_y
_atom_site_fract_z
_atom_site_occupancy
Ba1 Ba 0.250 0.250 0.000 1
Ba2 Ba 0.750 0.750 0.000 1
La1 La 0.163 0.663 0.826 1
La2 La 0.337 0.163 0.500 1
La3 La 0.663 0.837 0.500 1
La4 La 0.837 0.337 0.174 1
Fe1 Fe 0.250 0.750 0.500 1
Fe2 Fe 0.750 0.250 0.500 1
S1 S 0.000 0.000 0.000 1
S2 S 0.011 0.215 0.500 1
S3 S 0.215 0.715 0.204 1
S4 S 0.285 0.489 0.500 1
S5 S 0.489 0.989 0.204 1
S6 S 0.500 0.500 0.000 1
S7 S 0.511 0.011 0.796 1
S8 S 0.715 0.511 0.500 1
S9 S 0.785 0.285 0.796 1
S10 S 0.989 0.785 0.500 1

---

# Ba2LiFe2N3 | the Materials Project | PBE | relaxed
# Total moment in μB/atom: 0.00
# Total energy in eV for the cell shown: -102.4
# Density in g/cm3: 5.3
# Space-group type: C2/c, No. 15
data_Ba2LiFe2N3
_space_group_name_H-M_alt 'P 1'
_space_group_IT_number 1
_cell_length_a 6.806
_cell_length_b 6.806
_cell_length_c 6.798
_cell_angle_alpha 90.84
_cell_angle_beta 90.84
_cell_angle_gamma 119.47
loop_
_space_group_symop_operation_xyz
'x,y,z'
loop_
_atom_site_label
_atom_site_type_symbol
_atom_site_fract_x
_atom_site_fract_y
_atom_site_fract_z
_atom_site_occupancy
Ba1 Ba 0.174 0.319 0.399 1
Ba2 Ba 0.319 0.174 0.899 1
Ba3 Ba 0.681 0.826 0.101 1
Ba4 Ba 0.826 0.681 0.601 1
Li1 Li 0.193 0.807 0.250 1
Li2 Li 0.807 0.193 0.750 1
Fe1 Fe 0.161 0.568 0.899 1
Fe2 Fe 0.432 0.839 0.601 1
Fe3 Fe 0.568 0.161 0.399 1
Fe4 Fe 0.839 0.432 0.101 1
N1 N 0.007 0.712 0.996 1
N2 N 0.288 0.993 0.504 1
N3 N 0.397 0.603 0.750 1
N4 N 0.603 0.397 0.250 1
N5 N 0.712 0.007 0.496 1
N6 N 0.993 0.288 0.004 1

---

# BaMgFe2S4 | the Materials Project | PBE | relaxed
# Total moment in μB/atom: 1.00
# Energy relative to the lowest polymorph listed for this composition in eV per atom: 0.1534
# Density in g/cm3: 3.7
# Space-group type: I4/m, No. 87
data_BaMgFe2S4
_space_group_name_H-M_alt 'P 1'
_space_group_IT_number 1
_cell_length_a 6.213
_cell_length_b 6.213
_cell_length_c 6.213
_cell_angle_alpha 105.73
_cell_angle_beta 105.73
_cell_angle_gamma 117.25
loop_
_space_group_symop_operation_xyz
'x,y,z'
loop_
_atom_site_label
_atom_site_type_symbol
_atom_site_fract_x
_atom_site_fract_y
_atom_site_fract_z
_atom_site_occupancy
Ba1 Ba 0.000 0.000 0.000 1
Mg1 Mg 0.500 0.500 0.000 1
Fe1 Fe 0.250 0.750 0.500 1
Fe2 Fe 0.750 0.250 0.500 1
S1 S 0.193 0.624 0.817 1
S2 S 0.376 0.193 0.570 1
S3 S 0.624 0.807 0.430 1
S4 S 0.807 0.376 0.183 1

---

Question: Number 4 is which compound?
Answer: BaLa2FeS5